A plane-wave DFT calculation with r2SCAN was carried out for a geometry-optimized Hf3Sc4O12 structure.

Properties
formation energy from the elements = -73.5 eV per formula unit

Unit cell a=6.145 b=6.142 c=12.213 alpha=99.34 beta=99.38 gamma=99.63
Fractional coordinates of all 38 atoms:
Hf 0.141 0.611 0.406
Hf 0.682 0.858 0.945
Hf 0.995 0.996 0.251
Hf 0.005 0.004 0.749
Hf 0.318 0.142 0.055
Hf 0.859 0.389 0.594
Sc 0.136 0.605 0.905
Sc 0.392 0.690 0.680
Sc 0.394 0.680 0.181
Sc 0.681 0.859 0.445
Sc 0.319 0.141 0.555
Sc 0.608 0.310 0.320
Sc 0.606 0.320 0.819
Sc 0.864 0.395 0.095
O 0.093 0.938 0.410
O 0.093 0.947 0.912
O 0.052 0.682 0.701
O 0.061 0.676 0.212
O 0.414 0.817 0.537
O 0.427 0.825 0.040
O 0.179 0.415 0.037
O 0.174 0.420 0.536
O 0.677 0.906 0.278
O 0.685 0.908 0.783
O 0.419 0.571 0.341
O 0.423 0.586 0.842
O 0.581 0.429 0.659
O 0.577 0.414 0.158
O 0.323 0.094 0.722
O 0.315 0.092 0.217
O 0.826 0.580 0.464
O 0.821 0.585 0.963
O 0.573 0.175 0.960
O 0.586 0.183 0.463
O 0.948 0.318 0.299
O 0.939 0.324 0.788
O 0.907 0.062 0.590
O 0.907 0.053 0.088

---

A plane-wave DFT calculation with r2SCAN was carried out for a geometry-optimized Sr2Hf7O16 structure.

Properties
formation energy from the elements = -95.6 eV per formula unit

Unit cell a=9.590 b=9.590 c=9.590 alpha=38.66 beta=38.66 gamma=38.66
Fractional coordinates of all 25 atoms:
Sr 0.334 0.334 0.334
Sr 0.666 0.666 0.666
Hf 0.000 0.000 0.000
Hf 0.887 0.252 0.515
Hf 0.485 0.113 0.748
Hf 0.748 0.485 0.113
Hf 0.252 0.515 0.887
Hf 0.515 0.887 0.252
Hf 0.113 0.748 0.485
O 0.236 0.236 0.236
O 0.963 0.229 0.680
O 0.851 0.150 0.410
O 0.590 0.149 0.850
O 0.320 0.037 0.771
O 0.771 0.320 0.037
O 0.850 0.590 0.149
O 0.570 0.570 0.570
O 0.430 0.430 0.430
O 0.150 0.410 0.851
O 0.229 0.680 0.963
O 0.680 0.963 0.229
O 0.410 0.851 0.150
O 0.149 0.850 0.590
O 0.037 0.771 0.320
O 0.764 0.764 0.764

---

A plane-wave DFT calculation with r2SCAN was carried out for a geometry-optimized Sr3Hf2O7 structure.

Properties
formation energy from the elements = -43.0 eV per formula unit

Unit cell a=11.005 b=11.005 c=5.714 alpha=90.00 beta=90.00 gamma=149.90
Fractional coordinates of all 24 atoms:
Sr 0.188 0.812 0.500
Sr 0.812 0.188 0.500
Sr 0.688 0.312 0.000
Sr 0.000 0.000 0.500
Sr 0.500 0.500 0.000
Sr 0.312 0.688 0.000
Hf 0.098 0.902 0.000
Hf 0.598 0.402 0.500
Hf 0.902 0.098 0.000
Hf 0.402 0.598 0.500
O 0.196 0.804 0.000
O 0.605 0.798 0.202
O 0.298 0.105 0.702
O 0.702 0.895 0.702
O 0.395 0.202 0.202
O 0.000 0.000 0.000
O 0.696 0.304 0.500
O 0.804 0.196 0.000
O 0.105 0.298 0.298
O 0.798 0.605 0.798
O 0.895 0.702 0.298
O 0.202 0.395 0.798
O 0.500 0.500 0.500
O 0.304 0.696 0.500

---

A plane-wave DFT calculation with r2SCAN was carried out for a geometry-optimized Sr4Hf3O10 structure.

Properties
formation energy from the elements = -61.6 eV per formula unit

Unit cell a=15.024 b=15.024 c=5.722 alpha=90.00 beta=90.00 gamma=158.05
Fractional coordinates of all 34 atoms:
Sr 0.430 0.570 0.000
Sr 0.706 0.294 0.000
Sr 0.294 0.706 0.000
Sr 0.570 0.430 0.000
Sr 0.206 0.794 0.500
Sr 0.930 0.070 0.500
Sr 0.794 0.206 0.500
Sr 0.070 0.930 0.500
Hf 0.000 0.000 0.000
Hf 0.859 0.141 0.000
Hf 0.141 0.859 0.000
Hf 0.641 0.359 0.500
Hf 0.500 0.500 0.500
Hf 0.359 0.641 0.500
O 0.930 0.070 0.000
O 0.789 0.211 0.000
O 0.211 0.789 0.000
O 0.070 0.930 0.000
O 0.302 0.302 0.802
O 0.842 0.563 0.797
O 0.563 0.842 0.797
O 0.063 0.342 0.703
O 0.342 0.063 0.703
O 0.802 0.802 0.698
O 0.430 0.570 0.500
O 0.711 0.289 0.500
O 0.289 0.711 0.500
O 0.570 0.430 0.500
O 0.198 0.198 0.302
O 0.658 0.937 0.297
O 0.937 0.658 0.297
O 0.158 0.437 0.203
O 0.437 0.158 0.203
O 0.698 0.698 0.198

---

A plane-wave DFT calculation with r2SCAN was carried out for a geometry-optimized Hf2Os structure.

Properties
formation energy from the elements = -1.5 eV per formula unit

Unit cell a=8.688 b=8.688 c=8.688 alpha=60.00 beta=60.00 gamma=60.00
Fractional coordinates of all 24 atoms:
Hf 0.125 0.625 0.625
Hf 0.625 0.125 0.625
Hf 0.625 0.625 0.125
Hf 0.625 0.625 0.625
Hf 0.810 0.810 0.190
Hf 0.190 0.190 0.810
Hf 0.810 0.190 0.810
Hf 0.190 0.810 0.190
Hf 0.190 0.810 0.810
Hf 0.810 0.190 0.190
Hf 0.440 0.440 0.060
Hf 0.060 0.060 0.440
Hf 0.440 0.060 0.440
Hf 0.060 0.440 0.060
Hf 0.060 0.440 0.440
Hf 0.440 0.060 0.060
Os 0.769 0.410 0.410
Os 0.410 0.769 0.410
Os 0.410 0.410 0.769
Os 0.410 0.410 0.410
Os 0.481 0.840 0.840
Os 0.840 0.481 0.840
Os 0.840 0.840 0.481
Os 0.840 0.840 0.840

---

A plane-wave DFT calculation with r2SCAN was carried out for a geometry-optimized Hf2ReOs structure.

Properties
formation energy from the elements = -2.5 eV per formula unit

Unit cell a=4.595 b=4.595 c=4.595 alpha=60.00 beta=60.00 gamma=60.00
Fractional coordinates of all 4 atoms:
Hf 0.000 0.000 0.000
Hf 0.500 0.500 0.500
Re 0.750 0.750 0.750
Os 0.250 0.250 0.250

---

A plane-wave DFT calculation with r2SCAN was carried out for a geometry-optimized HfZrOs2 structure.

Properties
formation energy from the elements = -3.0 eV per formula unit

Unit cell a=4.607 b=4.607 c=4.607 alpha=60.00 beta=60.00 gamma=60.00
Fractional coordinates of all 4 atoms:
Hf 0.500 0.500 0.500
Zr 0.000 0.000 0.000
Os 0.250 0.250 0.250
Os 0.750 0.750 0.750

---

A plane-wave DFT calculation with r2SCAN was carried out for a geometry-optimized Hf7P4 structure.

Properties
formation energy from the elements = -12.7 eV per formula unit

Unit cell a=3.520 b=8.013 c=14.656 alpha=104.11 beta=90.00 gamma=102.69
Fractional coordinates of all 22 atoms:
Hf 0.339 0.678 0.030
Hf 0.661 0.322 0.970
Hf 0.003 0.006 0.669
Hf 0.997 0.994 0.331
Hf 0.177 0.354 0.541
Hf 0.823 0.646 0.459
Hf 0.795 0.590 0.203
Hf 0.205 0.410 0.797
Hf 0.803 0.607 0.689
Hf 0.197 0.393 0.311
Hf 0.570 0.140 0.167
Hf 0.430 0.860 0.833
Hf 0.500 0.000 0.500
Hf 0.000 0.000 0.000
P 0.937 0.875 0.147
P 0.063 0.125 0.853
P 0.630 0.259 0.661
P 0.370 0.741 0.339
P 0.625 0.251 0.401
P 0.375 0.749 0.599
P 0.822 0.644 0.889
P 0.178 0.356 0.111

---

A plane-wave DFT calculation with r2SCAN was carried out for a geometry-optimized Hf2P structure.

Properties
formation energy from the elements = -3.3 eV per formula unit

Unit cell a=3.585 b=12.220 c=15.008 alpha=90.00 beta=90.00 gamma=90.00
Fractional coordinates of all 36 atoms:
Hf 0.000 0.884 0.915
Hf 0.000 0.116 0.085
Hf 0.500 0.384 0.585
Hf 0.500 0.616 0.415
Hf 0.000 0.813 0.709
Hf 0.000 0.187 0.291
Hf 0.500 0.313 0.791
Hf 0.500 0.687 0.209
Hf 0.000 0.474 0.894
Hf 0.000 0.526 0.106
Hf 0.500 0.974 0.606
Hf 0.500 0.026 0.394
Hf 0.000 0.098 0.754
Hf 0.000 0.902 0.246
Hf 0.500 0.598 0.746
Hf 0.500 0.402 0.254
Hf 0.000 0.160 0.522
Hf 0.000 0.840 0.478
Hf 0.500 0.660 0.978
Hf 0.500 0.340 0.022
Hf 0.000 0.588 0.576
Hf 0.000 0.412 0.424
Hf 0.500 0.088 0.924
Hf 0.500 0.912 0.076
P 0.000 0.688 0.850
P 0.000 0.312 0.150
P 0.500 0.188 0.650
P 0.500 0.812 0.350
P 0.000 0.444 0.712
P 0.000 0.556 0.288
P 0.500 0.944 0.788
P 0.500 0.056 0.212
P 0.000 0.245 0.909
P 0.000 0.755 0.091
P 0.500 0.745 0.591
P 0.500 0.255 0.409

---

A plane-wave DFT calculation with r2SCAN was carried out for a geometry-optimized HfPRu structure.

Properties
formation energy from the elements = -3.4 eV per formula unit

Unit cell a=6.398 b=6.398 c=3.767 alpha=90.00 beta=90.00 gamma=120.00
Fractional coordinates of all 9 atoms:
Hf 0.000 0.584 0.500
Hf 0.416 0.416 0.500
Hf 0.584 0.000 0.500
P 0.667 0.333 0.000
P 0.333 0.667 0.000
P 0.000 0.000 0.500
Ru 0.246 0.000 0.000
Ru 0.754 0.754 0.000
Ru 0.000 0.246 0.000

---

A plane-wave DFT calculation with r2SCAN was carried out for a geometry-optimized Hf2SbP structure.

Properties
formation energy from the elements = -4.4 eV per formula unit

Unit cell a=3.802 b=3.802 c=13.080 alpha=90.00 beta=90.00 gamma=120.00
Fractional coordinates of all 8 atoms:
Hf 0.667 0.333 0.898
Hf 0.333 0.667 0.398
Hf 0.667 0.333 0.602
Hf 0.333 0.667 0.102
Sb 0.333 0.667 0.750
Sb 0.667 0.333 0.250
P 0.000 0.000 0.000
P 0.000 0.000 0.500

---

A plane-wave DFT calculation with r2SCAN was carried out for a geometry-optimized HfPaTc2 structure.

Properties
formation energy from the elements = -1.6 eV per formula unit

Unit cell a=4.731 b=4.731 c=4.731 alpha=60.00 beta=60.00 gamma=60.00
Fractional coordinates of all 4 atoms:
Hf 0.250 0.250 0.250
Pa 0.750 0.750 0.750
Tc 0.500 0.500 0.500
Tc 0.000 0.000 0.000

---

A plane-wave DFT calculation with r2SCAN was carried out for a geometry-optimized Hf5Pb structure.

Properties
formation energy from the elements = 0.1 eV per formula unit

Unit cell a=3.187 b=3.187 c=13.498 alpha=90.00 beta=90.00 gamma=90.00
Fractional coordinates of all 6 atoms:
Hf 0.500 0.500 0.334
Hf 0.500 0.500 0.666
Hf 0.000 0.000 0.176
Hf 0.000 0.000 0.824
Hf 0.000 0.000 0.500
Pb 0.500 0.500 0.000

---

A plane-wave DFT calculation with r2SCAN was carried out for a geometry-optimized HfPbS3 structure.

Properties
formation energy from the elements = -6.8 eV per formula unit

Unit cell a=3.760 b=9.135 c=14.040 alpha=90.00 beta=90.00 gamma=90.00
Fractional coordinates of all 20 atoms:
Hf 0.250 0.165 0.951
Hf 0.750 0.835 0.049
Hf 0.250 0.665 0.549
Hf 0.750 0.335 0.451
Pb 0.250 0.522 0.174
Pb 0.750 0.478 0.826
Pb 0.250 0.022 0.326
Pb 0.750 0.978 0.674
S 0.250 0.011 0.104
S 0.750 0.989 0.896
S 0.250 0.511 0.396
S 0.750 0.489 0.604
S 0.250 0.172 0.509
S 0.750 0.828 0.491
S 0.250 0.672 0.991
S 0.750 0.328 0.009
S 0.750 0.230 0.287
S 0.250 0.770 0.713
S 0.750 0.730 0.213
S 0.250 0.270 0.787

---

A plane-wave DFT calculation with r2SCAN was carried out for a geometry-optimized HfPd5 structure.

Properties
formation energy from the elements = -3.9 eV per formula unit

Unit cell a=3.994 b=6.193 c=3.989 alpha=90.00 beta=90.00 gamma=108.81
Fractional coordinates of all 6 atoms:
Hf 0.000 0.000 0.000
Pd 0.663 0.327 0.000
Pd 0.337 0.673 0.000
Pd 0.500 0.000 0.500
Pd 0.166 0.332 0.500
Pd 0.834 0.668 0.500

---

A plane-wave DFT calculation with r2SCAN was carried out for a geometry-optimized Hf2RePd structure.

Properties
formation energy from the elements = -2.4 eV per formula unit

Unit cell a=4.633 b=4.633 c=4.633 alpha=60.00 beta=60.00 gamma=60.00
Fractional coordinates of all 4 atoms:
Hf 0.250 0.250 0.250
Hf 0.750 0.750 0.750
Re 0.000 0.000 0.000
Pd 0.500 0.500 0.500